(1)
Here is a relaxed ThTa2O7 crystal from Materials Project. Energies are from meta-GGA r2SCAN.

Geometry as POSCAR:
```
ThTa2O7
1.0
-4.5046 -4.1972 5.0774
-3.2811 -6.8345 2.4921
6.2596 -2.1250 5.1302
O Ta Th
14 4 2
direct
0.0567 0.0567 0.3915
0.8030 0.8030 0.8341
0.9875 0.9875 0.1411
0.1951 0.1951 0.5029
0.6071 0.6071 0.0655
0.3929 0.3929 0.9345
0.4146 0.4146 0.3891
0.1970 0.1970 0.1659
0.8049 0.8049 0.4971
0.9433 0.9433 0.6085
0.0125 0.0125 0.8589
0.5854 0.5854 0.6109
0.1678 0.1678 0.8071
0.8322 0.8322 0.1929
0.8916 0.8916 0.9801
0.1084 0.1084 0.0199
0.9287 0.9287 0.3664
0.0713 0.0713 0.6336
0.3124 0.3124 0.6668
0.6876 0.6876 0.3332
```

Results
- raw total energy (eV/atom) = -24.695
- SG = C2/m (12)
- ΔH_f (0 K) (eV/atom) = -3.45



(2)
Here is a relaxed Sb2Au3F18 crystal from Materials Project. Energies are from meta-GGA r2SCAN.

Geometry as POSCAR:
```
Sb2Au3F18
1.0
-2.7413 -0.9174 -7.8715
-7.5760 -3.8550 3.0877
-8.0408 5.6897 2.1372
F Au Sb
36 6 4
direct
0.0200 0.6409 0.7570
0.5557 0.9411 0.6573
0.3968 0.0299 0.8378
0.9746 0.7146 0.4550
0.7932 0.6014 0.3093
0.4800 0.6409 0.2570
0.1032 0.0299 0.3378
0.3622 0.3089 0.4888
0.7143 0.2479 0.5690
0.9800 0.3591 0.2430
0.5200 0.3591 0.7430
0.1378 0.3089 0.9888
0.3669 0.6722 0.7511
0.2857 0.7521 0.4310
0.7857 0.2479 0.0690
0.6378 0.6911 0.5112
0.9443 0.9411 0.1573
0.0254 0.2854 0.5450
0.4746 0.2854 0.0450
0.5254 0.7146 0.9550
0.4443 0.0589 0.3427
0.6331 0.3278 0.2489
0.7298 0.0110 0.8780
0.8968 0.9701 0.6622
0.8622 0.6911 0.0112
0.2298 0.9890 0.6220
0.2702 0.9890 0.1220
0.1331 0.6722 0.2511
0.7702 0.0110 0.3780
0.7068 0.6014 0.8093
0.8669 0.3278 0.7489
0.2932 0.3986 0.1907
0.2068 0.3986 0.6907
0.0557 0.0589 0.8427
0.6032 0.9701 0.1622
0.2143 0.7521 0.9310
0.8311 0.6687 0.6312
0.1689 0.3313 0.3688
0.3311 0.3313 0.8688
0.6689 0.6687 0.1312
0.5000 0.5000 0.5000
0.0000 0.5000 0.0000
0.6258 0.1376 0.2188
0.8742 0.1376 0.7188
0.1258 0.8624 0.2812
0.3742 0.8624 0.7812
```

Results
- raw total energy (eV/atom) = -13.058
- SG = P2_1/c (14)
- ΔH_f (0 K) (eV/atom) = -1.78



(3)
Here is a relaxed RbGa3S5 crystal from Materials Project. Energies are from meta-GGA r2SCAN.

Geometry as POSCAR:
```
RbGa3S5
1.0
-4.1902 7.3674 9.5493
-6.7393 -0.7849 -2.3517
-3.3345 -8.4277 5.0389
S Ga Rb
20 12 4
direct
0.9198 0.5714 0.2682
0.3317 0.2816 0.9107
0.0802 0.4286 0.7318
0.8655 0.0670 0.2590
0.1683 0.2816 0.4107
0.3655 0.9330 0.2410
0.8363 0.3449 0.9035
0.3363 0.6551 0.5965
0.1637 0.6551 0.0965
0.1345 0.9330 0.7410
0.3976 0.8098 0.9099
0.6683 0.7184 0.0893
0.5802 0.5714 0.7682
0.8976 0.1902 0.5901
0.6345 0.0670 0.7590
0.6637 0.3449 0.4035
0.6024 0.1902 0.0901
0.8317 0.7184 0.5893
0.4198 0.4286 0.2318
0.1024 0.8098 0.4099
0.4204 0.2007 0.0999
0.6642 0.2905 0.8760
0.9204 0.7993 0.4001
0.1020 0.5598 0.3036
0.3358 0.7095 0.1240
0.3980 0.5598 0.8036
0.5796 0.7993 0.9001
0.8980 0.4402 0.6964
0.0796 0.2007 0.5999
0.6020 0.4402 0.1964
0.1642 0.7095 0.6240
0.8358 0.2905 0.3760
0.8866 0.8360 0.8985
0.1134 0.1640 0.1015
0.6134 0.8360 0.3985
0.3866 0.1640 0.6015
```

Results
- raw total energy (eV/atom) = -10.839
- SG = P2_1/c (14)
- ΔH_f (0 K) (eV/atom) = -1.01



(4)
Here is a relaxed CsMo3Cl7 crystal from Materials Project. Energies are from meta-GGA r2SCAN.

Geometry as POSCAR:
```
CsMo3Cl7
1.0
4.9510 -8.5748 -0.0004
4.9511 8.5749 -0.0002
-0.0008 0.0002 14.5894
Mo Cl Cs
12 28 4
direct
0.5162 0.3362 0.1415
0.4837 0.8199 0.6414
0.6676 0.4858 0.2867
0.5143 0.1818 0.2868
0.1800 0.6638 0.6414
0.8182 0.3325 0.2867
0.3362 0.5162 0.6414
0.8199 0.4837 0.1415
0.3325 0.8182 0.7867
0.1818 0.5143 0.7867
0.4858 0.6675 0.7867
0.6638 0.1800 0.1415
0.6666 0.3333 0.0065
0.6890 0.6590 0.8762
0.3333 0.6666 0.5065
0.6738 0.6275 0.1428
0.9700 0.3110 0.8762
0.9655 0.6505 0.5520
0.3725 0.0463 0.1429
0.3262 0.9536 0.6429
0.3334 0.6667 0.9215
0.6239 0.9574 0.7851
0.9536 0.3262 0.1428
0.9574 0.6239 0.2851
0.6850 0.0345 0.5520
0.6591 0.6891 0.3763
0.6665 0.0426 0.2851
0.0463 0.3725 0.6429
0.0299 0.3409 0.3762
0.3335 0.3761 0.7851
0.3761 0.3335 0.2851
0.3495 0.3150 0.5520
0.3410 0.0300 0.8762
0.6668 0.3335 0.4215
0.0426 0.6666 0.7851
0.6504 0.9655 0.0520
0.3110 0.9701 0.3763
0.3150 0.3495 0.0520
0.0345 0.6850 0.0520
0.6274 0.6738 0.6428
0.6666 0.3333 0.7044
0.0000 0.0000 0.9679
0.3333 0.6667 0.2044
0.0000 0.0000 0.4679
```

Results
- raw total energy (eV/atom) = -14.614
- SG = P31c (159)
- ΔH_f (0 K) (eV/atom) = -1.31